# VOF | the Materials Project database | PBE with a Hubbard U | relaxed
data_VOF
_chemical_formula_sum 'V16 O16 F16'
_space_group_name_H-M_alt 'C 1 m 1'
_space_group_IT_number 8
_cell_length_a 9.457
_cell_length_b 12.515
_cell_length_c 4.709
_cell_angle_alpha 90.00
_cell_angle_beta 90.35
_cell_angle_gamma 90.00
loop_
_space_group_symop_operation_xyz
'x,y,z'
'x,-y,z'
'x+1/2,y+1/2,z'
'x+1/2,-y+1/2,z'
loop_
_atom_site_label
_atom_site_fract_x
_atom_site_fract_y
_atom_site_fract_z
_atom_site_occupancy
V1 0.000 0.000 0.000 1
V2 0.018 0.500 0.109 1
V3 0.260 0.117 0.551 1
V4 0.261 0.366 0.551 1
V5 0.496 0.249 0.085 1
O1 0.108 0.369 0.265 1
O2 0.161 0.000 0.749 1
O3 0.350 0.243 0.372 1
O4 0.361 0.000 0.357 1
O5 0.405 0.371 0.863 1
F1 0.100 0.120 0.258 1
F2 0.155 0.244 0.768 1
F3 0.160 0.500 0.756 1
F4 0.358 0.500 0.355 1
F5 0.412 0.121 0.864 1
# DFT formation energy in eV/atom: -2.55
# Corrected total energy (MP2020 scheme) in eV per atom: -7.87

=====

# Li2Ni2S3O12 | the Materials Project database | PBE with a Hubbard U | relaxed
data_Li2Ni2S3O12
_chemical_formula_sum 'Li16 Ni16 S24 O96'
_space_group_name_H-M_alt 'P b c a'
_space_group_IT_number 61
_cell_length_a 8.568
_cell_length_b 8.673
_cell_length_c 23.750
_cell_angle_alpha 90.00
_cell_angle_beta 90.00
_cell_angle_gamma 90.00
loop_
_space_group_symop_operation_xyz
'x,y,z'
'-x,-y,-z'
'-x+1/2,-y,z+1/2'
'x+1/2,y,-z+1/2'
'x+1/2,-y+1/2,-z'
'-x+1/2,y+1/2,z'
'-x,y+1/2,-z+1/2'
'x,-y+1/2,z+1/2'
loop_
_atom_site_label
_atom_site_fract_x
_atom_site_fract_y
_atom_site_fract_z
_atom_site_occupancy
Li1 0.037 0.123 0.209 1
Li2 0.146 0.069 0.991 1
Ni1 0.002 0.703 0.679 1
Ni2 0.005 0.600 0.937 1
S1 0.143 0.053 0.700 1
S2 0.149 0.746 0.553 1
S3 0.197 0.594 0.383 1
O1 0.063 0.608 0.535 1
O2 0.083 0.598 0.221 1
O3 0.084 0.610 0.025 1
O4 0.086 0.089 0.644 1
O5 0.091 0.177 0.739 1
O6 0.094 0.690 0.418 1
O7 0.098 0.507 0.343 1
O8 0.139 0.731 0.114 1
O9 0.183 0.547 0.702 1
O10 0.186 0.235 0.535 1
O11 0.187 0.183 0.352 1
O12 0.226 0.517 0.923 1
# DFT formation energy in eV/atom: -1.89
# Corrected total energy (MP2020 scheme) in eV per atom: -6.48
# Offset from the most stable computed form in eV/atom: 0.030

=====

# AlWF5 | the Materials Project database | PBE with a Hubbard U | relaxed
data_AlWF5
_chemical_formula_sum 'Al2 W2 F10'
_space_group_name_H-M_alt 'I m m m'
_space_group_IT_number 71
_space_group_name_Hall '-I 2 2'
_cell_length_a 3.807
_cell_length_b 6.570
_cell_length_c 7.893
_cell_angle_alpha 90.00
_cell_angle_beta 90.00
_cell_angle_gamma 90.00
loop_
_atom_site_label
_atom_site_fract_x
_atom_site_fract_y
_atom_site_fract_z
_atom_site_occupancy
Al1 0.000 0.000 0.000 1
W1 0.000 0.000 0.500 1
F1 0.000 0.000 0.227 1
F2 0.000 0.278 0.000 1
F3 0.000 0.500 0.500 1
# DFT formation energy in eV/atom: -2.79
# Corrected total energy (MP2020 scheme) in eV per atom: -6.54

=====

# FeP4O12 | the Materials Project database | PBE with a Hubbard U | relaxed
data_FeP4O12
_chemical_formula_sum 'Fe4 P16 O48'
_space_group_name_H-M_alt 'C 1 2/c 1'
_space_group_IT_number 15
_cell_length_a 9.615
_cell_length_b 13.179
_cell_length_c 7.934
_cell_angle_alpha 90.00
_cell_angle_beta 102.69
_cell_angle_gamma 90.00
loop_
_space_group_symop_operation_xyz
'x,y,z'
'-x,-y,-z'
'-x,y,-z+1/2'
'x,-y,z+1/2'
'x+1/2,y+1/2,z'
'-x+1/2,-y+1/2,-z'
'-x+1/2,y+1/2,-z+1/2'
'x+1/2,-y+1/2,z+1/2'
loop_
_atom_site_label
_atom_site_fract_x
_atom_site_fract_y
_atom_site_fract_z
_atom_site_occupancy
Fe1 0.000 0.133 0.250 1
P1 0.085 0.343 0.120 1
P2 0.127 0.083 0.674 1
O1 0.000 0.131 0.750 1
O2 0.000 0.395 0.250 1
O3 0.023 0.360 0.937 1
O4 0.109 0.033 0.169 1
O5 0.114 0.230 0.184 1
O6 0.139 0.131 0.508 1
O7 0.240 0.395 0.173 1
# DFT formation energy in eV/atom: -2.30
# Corrected total energy (MP2020 scheme) in eV per atom: -7.57
# Offset from the most stable computed form in eV/atom: 0.047

=====

# FeOF | the Materials Project database | PBE with a Hubbard U | relaxed
data_FeOF
_chemical_formula_sum 'Fe8 O8 F8'
_space_group_name_H-M_alt 'P 1 21 1'
_space_group_IT_number 4
_cell_length_a 4.743
_cell_length_b 4.757
_cell_length_c 12.290
_cell_angle_alpha 90.00
_cell_angle_beta 90.00
_cell_angle_gamma 90.00
loop_
_space_group_symop_operation_xyz
'x,y,z'
'-x,y+1/2,-z'
loop_
_atom_site_label
_atom_site_fract_x
_atom_site_fract_y
_atom_site_fract_z
_atom_site_occupancy
Fe1 0.203 0.000 0.437 1
Fe2 0.222 0.019 0.938 1
Fe3 0.229 0.011 0.688 1
Fe4 0.268 0.937 0.187 1
O1 0.059 0.812 0.565 1
O2 0.064 0.798 0.312 1
O3 0.070 0.802 0.060 1
O4 0.424 0.174 0.813 1
F1 0.035 0.791 0.813 1
F2 0.445 0.202 0.561 1
F3 0.453 0.188 0.311 1
F4 0.453 0.190 0.064 1
# DFT formation energy in eV/atom: -2.04
# Corrected total energy (MP2020 scheme) in eV per atom: -7.15

=====

# Li3Mn2P2C2O14 | the Materials Project database | PBE with a Hubbard U | relaxed
data_Li3Mn2P2C2O14
_chemical_formula_sum 'Li6 Mn4 P4 C4 O28'
_space_group_name_H-M_alt 'P -1'
_space_group_IT_number 2
_cell_length_a 8.202
_cell_length_b 8.272
_cell_length_c 9.407
_cell_angle_alpha 106.17
_cell_angle_beta 107.61
_cell_angle_gamma 104.14
loop_
_space_group_symop_operation_xyz
'x,y,z'
'-x,-y,-z'
loop_
_atom_site_label
_atom_site_fract_x
_atom_site_fract_y
_atom_site_fract_z
_atom_site_occupancy
Li1 0.007 0.497 0.248 1
Li2 0.236 0.256 0.254 1
Li3 0.474 0.023 0.730 1
Mn1 0.180 0.933 0.333 1
Mn2 0.312 0.559 0.667 1
P1 0.057 0.790 0.580 1
P2 0.454 0.695 0.423 1
C1 0.008 0.751 0.048 1
C2 0.492 0.750 0.950 1
O1 0.020 0.300 0.839 1
O2 0.040 0.118 0.328 1
O3 0.080 0.359 0.586 1
O4 0.083 0.338 0.101 1
O5 0.142 0.908 0.107 1
O6 0.162 0.707 0.690 1
O7 0.198 0.919 0.544 1
O8 0.305 0.564 0.454 1
O9 0.351 0.600 0.897 1
O10 0.368 0.791 0.322 1
O11 0.400 0.166 0.410 1
O12 0.422 0.144 0.909 1
O13 0.464 0.419 0.675 1
O14 0.470 0.226 0.173 1
# DFT formation energy in eV/atom: -2.27
# Corrected total energy (MP2020 scheme) in eV per atom: -7.60
# Offset from the most stable computed form in eV/atom: 0.001